Material: YMgNi4
Method: DFT, r2SCAN
State: optimized geometry

The structure in POSCAR format:
```
YMgNi4
1.0
0.0000 3.4712 3.4712
3.4712 0.0000 3.4712
3.4712 3.4712 0.0000
Y Mg Ni
1 1 4
Cartesian
0.0000 0.0000 0.0000
1.7356 1.7356 1.7356
4.3283 2.6142 2.6142
2.6142 4.3283 2.6142
2.6142 2.6142 4.3283
4.3283 4.3283 4.3283
```

Properties
E: -12.4030 eV/atom
density: 6908 kg/m³
calculated formation energy: -0.33 eV/atom
space group: No. 216